[1]
Here is a relaxed LiMn2B2O6 crystal from Materials Project. Energies are from PBE with a Hubbard U.

Its symmetry is P1 (1). For the MP2020-corrected energy, the calculation gives -8.175 eV/atom. The calculation puts the offset from the most stable computed form at 10 meV/atom. The calculation puts the formation energy at -2.4222 eV/atom.

Cell lengths 5.3495, 10.2721, 13.9320 Å; angles 90.57, 100.87, 91.96 degrees
Atoms (fractional coordinates):
Li (0.1481, 0.0803, 0.0020)
Li (0.4468, 0.6697, 0.6700)
Li (0.4797, 0.1847, 0.6588)
Li (0.8039, 0.6785, 0.3414)
Li (0.7916, 0.1579, 0.3233)
Li (0.8690, 0.4131, 0.0089)
Mn (0.0576, 0.1337, 0.7697)
Mn (0.2968, 0.8768, 0.8745)
Mn (0.0554, 0.3860, 0.4322)
Mn (0.2565, 0.6309, 0.2125)
Mn (0.6210, 0.6320, 0.9076)
Mn (0.3656, 0.1302, 0.4533)
Mn (0.6240, 0.8884, 0.5691)
Mn (0.3995, 0.3674, 0.1172)
Mn (0.7518, 0.3830, 0.7860)
Mn (0.9024, 0.6329, 0.5443)
Mn (0.7103, 0.1164, 0.0994)
Mn (0.9575, 0.8775, 0.2194)
B (0.0504, 0.6292, 0.7729)
B (0.0623, 0.8769, 0.4513)
B (0.2845, 0.3786, 0.8912)
B (0.3730, 0.6385, 0.4424)
B (0.2737, 0.1167, 0.2250)
B (0.6246, 0.1309, 0.8799)
B (0.3955, 0.8735, 0.1045)
B (0.7327, 0.8704, 0.7951)
B (0.6087, 0.3789, 0.5513)
B (0.7405, 0.6220, 0.1262)
B (0.9405, 0.1347, 0.5493)
B (0.9338, 0.3689, 0.2101)
O (0.1257, 0.3408, 0.8032)
O (0.1978, 0.3774, 0.9765)
O (0.2207, 0.6869, 0.8523)
O (0.1039, 0.6286, 0.6820)
O (0.9950, 0.1666, 0.4575)
O (0.1263, 0.1356, 0.6299)
O (0.1180, 0.5970, 0.4421)
O (0.0168, 0.0671, 0.2174)
O (0.3796, 0.0732, 0.8721)
O (0.2951, 0.9463, 0.4738)
O (0.1533, 0.4442, 0.2028)
O (0.5394, 0.4198, 0.8894)
O (0.3022, 0.8179, 0.1840)
O (0.6539, 0.8351, 0.8824)
O (0.2432, 0.8991, 0.0186)
O (0.5777, 0.8462, 0.7076)
O (0.4334, 0.3188, 0.4732)
O (0.5779, 0.3656, 0.6443)
O (0.5259, 0.6730, 0.5344)
O (0.4629, 0.6420, 0.3584)
O (0.3424, 0.1577, 0.1375)
O (0.6787, 0.1900, 0.7935)
O (0.4323, 0.1227, 0.3127)
O (0.8007, 0.1310, 0.9629)
O (0.8193, 0.5728, 0.7925)
O (0.5067, 0.5729, 0.1386)
O (0.6867, 0.0984, 0.5551)
O (0.9700, 0.9328, 0.8020)
O (0.6520, 0.9130, 0.1203)
O (0.8112, 0.4495, 0.5242)
O (0.9683, 0.8212, 0.5306)
O (0.9297, 0.8604, 0.3595)
O (0.7854, 0.3223, 0.1218)
O (0.8701, 0.3382, 0.2961)
O (0.8936, 0.6827, 0.2118)
O (0.8313, 0.6046, 0.0437)


[2]
Here is a relaxed Li2Mn3B3O9 crystal from Materials Project. Energies are from PBE with a Hubbard U.

Its symmetry is P1 (1). For the MP2020-corrected energy, the calculation gives -8.068 eV/atom. The calculation puts the offset from the most stable computed form at 34 meV/atom. The calculation puts the formation energy at -2.4283 eV/atom.

Cell lengths 6.3057, 8.2673, 8.6847 Å; angles 116.71, 110.15, 91.97 degrees
Atoms (fractional coordinates):
Li (0.3693, 0.3032, 0.2802)
Li (0.6038, 0.9819, 0.6914)
Li (0.0786, 0.9801, 0.6915)
Li (0.7810, 0.7201, 0.0224)
Mn (0.1897, 0.0116, 0.3711)
Mn (0.6690, 0.0116, 0.3301)
Mn (0.0159, 0.3819, 0.9940)
Mn (0.5210, 0.3466, 0.0068)
Mn (0.8062, 0.6077, 0.6280)
Mn (0.3266, 0.6513, 0.6867)
B (0.4888, 0.9938, 0.9869)
B (0.9906, 0.0016, 0.9893)
B (0.0680, 0.3276, 0.6670)
B (0.5928, 0.3337, 0.6679)
B (0.4306, 0.6706, 0.3416)
B (0.9242, 0.6709, 0.3433)
O (0.1348, 0.2592, 0.7952)
O (0.6586, 0.2612, 0.7890)
O (0.0042, 0.2119, 0.4805)
O (0.4964, 0.2237, 0.4755)
O (0.5369, 0.1769, 0.1228)
O (0.0514, 0.1944, 0.0815)
O (0.0719, 0.5178, 0.7429)
O (0.6323, 0.5291, 0.7482)
O (0.4878, 0.5990, 0.4674)
O (0.9693, 0.6059, 0.4710)
O (0.3480, 0.5399, 0.1528)
O (0.8606, 0.5491, 0.1504)
O (0.3888, 0.9391, 0.7944)
O (0.8841, 0.9004, 0.7919)
O (0.4563, 0.8588, 0.4088)
O (0.9397, 0.8571, 0.4032)
O (0.5375, 0.8572, 0.0361)
O (0.0352, 0.9089, 0.0904)


[3]
Here is a relaxed Li2Mn3B4O12 crystal from Materials Project. Energies are from PBE with a Hubbard U.

Its symmetry is Pc (7). For the MP2020-corrected energy, the calculation gives -7.975 eV/atom. The calculation puts the formation energy at -2.3842 eV/atom.

Cell lengths 9.0632, 5.1135, 10.8816 Å; angles 72.73, 90.00, 90.00 degrees
Atoms (fractional coordinates):
Li (0.2150, 0.5082, 0.3892)
Li (0.7155, 0.0714, 0.6235)
Li (0.7850, 0.5082, 0.8892)
Li (0.2845, 0.0714, 0.1235)
Mn (0.5533, 0.0024, 0.8778)
Mn (0.2140, 0.9209, 0.8764)
Mn (0.0394, 0.0138, 0.6142)
Mn (0.4467, 0.0024, 0.3778)
Mn (0.7860, 0.9209, 0.3764)
Mn (0.9606, 0.0138, 0.1142)
B (0.5486, 0.4301, 0.3908)
B (0.8852, 0.0018, 0.8630)
B (0.0573, 0.5728, 0.0919)
B (0.3903, 0.9999, 0.6468)
B (0.1148, 0.0018, 0.3630)
B (0.4514, 0.4301, 0.8908)
B (0.6097, 0.9999, 0.1468)
B (0.9427, 0.5728, 0.5919)
O (0.6026, 0.8798, 0.0504)
O (0.9012, 0.3121, 0.6038)
O (0.1599, 0.7940, 0.0573)
O (0.5166, 0.0763, 0.6968)
O (0.2518, 0.0369, 0.6956)
O (0.9167, 0.6466, 0.1134)
O (0.4052, 0.3767, 0.3625)
O (0.6336, 0.1903, 0.4150)
O (0.7517, 0.9084, 0.8299)
O (0.0093, 0.8954, 0.8149)
O (0.0980, 0.1794, 0.4334)
O (0.4086, 0.6774, 0.9001)
O (0.0988, 0.3121, 0.1038)
O (0.3974, 0.8798, 0.5504)
O (0.8401, 0.7940, 0.5573)
O (0.4834, 0.0763, 0.1968)
O (0.7482, 0.0369, 0.1956)
O (0.0833, 0.6466, 0.6134)
O (0.5948, 0.3767, 0.8625)
O (0.2483, 0.9084, 0.3299)
O (0.9907, 0.8954, 0.3149)
O (0.3664, 0.1903, 0.9150)
O (0.5914, 0.6774, 0.4001)
O (0.9020, 0.1794, 0.9334)


Number 1: energy -7.50 eV per atom. Number 2: energy -7.41 eV per atom. Number 3: energy -7.34 eV per atom.